(1)
DFT (GGA+U) results for a geometry-optimized MgTi3V5O16 structure.

Cell lengths 5.912, 5.926, 9.415 Å; angles 89.34, 88.92, 60.08 degrees
Positions (direct):
Mg  0.000  0.000  0.000
Ti  0.336  0.352  0.230
Ti  0.845  0.340  0.265
Ti  0.990  0.497  0.741
V  0.066  0.954  0.703
V  0.375  0.844  0.240
V  0.519  0.521  0.963
V  0.524  0.035  0.747
V  0.839  0.850  0.462
O  0.013  0.514  0.343
O  0.025  0.007  0.343
O  0.160  0.678  0.600
O  0.175  0.182  0.133
O  0.198  0.179  0.637
O  0.221  0.669  0.110
O  0.344  0.854  0.850
O  0.369  0.336  0.845
O  0.510  0.511  0.347
O  0.517  0.027  0.341
O  0.650  0.675  0.120
O  0.671  0.229  0.113
O  0.705  0.699  0.629
O  0.728  0.118  0.609
O  0.866  0.324  0.857
O  0.880  0.841  0.843

Output
**SG**: P1 (1)
**M_tot**: 0.280 μB per atom
**ΔH_f (0 K)**: -2.829 eV per atom
**Energy above the most stable polymorph in this dataset**: 0.027 eV/atom

(2)
DFT (GGA+U) results for a geometry-optimized K2Te2W3O5 structure.

Cell lengths 8.588, 6.919, 18.637 Å; angles 90.00, 97.50, 90.00 degrees
Positions (direct):
K  0.130  0.009  0.419
K  0.130  0.491  0.919
K  0.349  0.690  0.740
K  0.349  0.810  0.240
K  0.651  0.190  0.760
K  0.651  0.310  0.260
K  0.870  0.509  0.081
K  0.870  0.991  0.581
Te  0.174  0.596  0.544
Te  0.174  0.904  0.044
Te  0.447  0.071  0.591
Te  0.447  0.429  0.091
Te  0.553  0.571  0.909
Te  0.553  0.929  0.409
Te  0.826  0.096  0.956
Te  0.826  0.404  0.456
W  0.047  0.512  0.294
W  0.047  0.988  0.794
W  0.225  0.194  0.685
W  0.225  0.306  0.185
W  0.401  0.064  0.887
W  0.401  0.436  0.387
W  0.599  0.564  0.613
W  0.599  0.936  0.113
W  0.775  0.694  0.815
W  0.775  0.806  0.315
W  0.953  0.012  0.206
W  0.953  0.488  0.706
O  0.030  0.189  0.993
O  0.030  0.311  0.493
O  0.146  0.027  0.138
O  0.146  0.473  0.638
O  0.228  0.661  0.089
O  0.228  0.839  0.589
O  0.371  0.745  0.391
O  0.371  0.755  0.891
O  0.417  0.130  0.361
O  0.417  0.370  0.861
O  0.583  0.630  0.139
O  0.583  0.870  0.639
O  0.629  0.245  0.109
O  0.629  0.255  0.609
O  0.772  0.161  0.411
O  0.772  0.339  0.911
O  0.854  0.527  0.362
O  0.854  0.973  0.862
O  0.970  0.689  0.507
O  0.970  0.811  0.007

Output
**SG**: P2_1/c (14)
**M_tot**: 1.167 μB per atom
**ΔH_f (0 K)**: -0.161 eV per atom

(3)
DFT (GGA+U) results for a geometry-optimized LiCrO2 structure.

Cell lengths 5.919, 5.919, 5.919 Å; angles 119.87, 119.87, 90.23 degrees
Positions (direct):
Li  0.000  0.000  0.000
Li  0.000  0.000  0.500
Li  0.000  0.500  0.000
Li  0.500  0.000  0.500
Cr  0.000  0.500  0.500
Cr  0.500  0.000  0.000
Cr  0.500  0.500  0.000
Cr  0.500  0.500  0.500
O  0.257  0.272  0.516
O  0.257  0.741  0.984
O  0.259  0.743  0.516
O  0.272  0.257  0.016
O  0.728  0.743  0.984
O  0.741  0.257  0.484
O  0.743  0.259  0.016
O  0.743  0.728  0.484

Output
**SG**: I4_1/amd (141)
**ΔH_f (0 K)**: -2.407 eV per atom
**Energy above the most stable polymorph in this dataset**: 0.002 eV/atom

(4)
DFT (GGA+U) results for a geometry-optimized MnNb2ZnO8 structure.

Cell lengths 10.245, 10.245, 5.105 Å; angles 93.70, 93.70, 32.80 degrees
Positions (direct):
Mn  0.000  0.000  0.000
Mn  0.710  0.290  0.500
Nb  0.064  0.705  0.490
Nb  0.295  0.936  0.510
Nb  0.422  0.338  0.998
Nb  0.662  0.578  0.002
Zn  0.474  0.075  0.444
Zn  0.925  0.526  0.556
O  0.019  0.086  0.686
O  0.111  0.565  0.168
O  0.164  0.718  0.831
O  0.191  0.191  0.411
O  0.282  0.836  0.169
O  0.294  0.369  0.658
O  0.429  0.453  0.341
O  0.435  0.889  0.832
O  0.547  0.571  0.659
O  0.562  0.075  0.116
O  0.631  0.706  0.342
O  0.698  0.198  0.812
O  0.802  0.302  0.188
O  0.809  0.809  0.589
O  0.914  0.981  0.314
O  0.925  0.438  0.884

Output
**SG**: C2 (5)
**M_tot**: 0.250 μB per atom
**ΔH_f (0 K)**: -2.448 eV per atom

(5)
DFT (GGA+U) results for a geometry-optimized Mg3Ni2O7 structure.

Cell lengths 9.103, 9.103, 5.197 Å; angles 90.00, 90.00, 31.67 degrees
Positions (direct):
Mg  0.050  0.566  0.653
Mg  0.223  0.777  0.500
Mg  0.434  0.950  0.653
Mg  0.566  0.050  0.153
Mg  0.777  0.223  0.000
Mg  0.950  0.434  0.153
Ni  0.151  0.645  0.074
Ni  0.355  0.849  0.074
Ni  0.645  0.151  0.574
Ni  0.849  0.355  0.574
O  0.014  0.136  0.267
O  0.065  0.340  0.532
O  0.136  0.014  0.767
O  0.313  0.415  0.365
O  0.340  0.065  0.032
O  0.388  0.612  0.136
O  0.415  0.313  0.865
O  0.585  0.687  0.365
O  0.612  0.388  0.636
O  0.660  0.935  0.532
O  0.687  0.585  0.865
O  0.864  0.986  0.267
O  0.935  0.660  0.032
O  0.986  0.864  0.767

Output
**SG**: Cmc2_1 (36)
**M_tot**: 0.000 μB per atom
**ΔH_f (0 K)**: -1.826 eV per atom

(6)
DFT (GGA+U) results for a geometry-optimized KNa4FeO4 structure.

Cell lengths 6.072, 18.974, 10.639 Å; angles 90.00, 90.00, 90.00 degrees
Positions (direct):
K  0.090  0.003  0.157
K  0.090  0.497  0.657
K  0.410  0.503  0.157
K  0.410  0.997  0.657
K  0.590  0.003  0.343
K  0.590  0.497  0.843
K  0.910  0.503  0.343
K  0.910  0.997  0.843
Na  0.075  0.749  0.077
Na  0.075  0.751  0.577
Na  0.083  0.677  0.326
Na  0.083  0.823  0.826
Na  0.094  0.067  0.443
Na  0.094  0.433  0.943
Na  0.100  0.143  0.696
Na  0.100  0.357  0.196
Na  0.400  0.643  0.696
Na  0.400  0.857  0.196
Na  0.406  0.567  0.443
Na  0.406  0.933  0.943
Na  0.417  0.177  0.326
Na  0.417  0.323  0.826
Na  0.425  0.249  0.077
Na  0.425  0.251  0.577
Na  0.575  0.749  0.423
Na  0.575  0.751  0.923
Na  0.583  0.677  0.174
Na  0.583  0.823  0.674
Na  0.594  0.067  0.057
Na  0.594  0.433  0.557
Na  0.600  0.143  0.804
Na  0.600  0.357  0.304
Na  0.900  0.643  0.804
Na  0.900  0.857  0.304
Na  0.906  0.567  0.057
Na  0.906  0.933  0.557
Na  0.917  0.177  0.174
Na  0.917  0.323  0.674
Na  0.925  0.249  0.423
Na  0.925  0.251  0.923
Fe  0.197  0.128  0.962
Fe  0.197  0.372  0.462
Fe  0.303  0.628  0.962
Fe  0.303  0.872  0.462
Fe  0.697  0.128  0.538
Fe  0.697  0.372  0.038
Fe  0.803  0.628  0.538
Fe  0.803  0.872  0.038
O  0.118  0.625  0.539
O  0.118  0.875  0.039
O  0.170  0.548  0.883
O  0.170  0.952  0.383
O  0.207  0.635  0.134
O  0.207  0.865  0.634
O  0.214  0.710  0.871
O  0.214  0.790  0.371
O  0.286  0.210  0.871
O  0.286  0.290  0.371
O  0.293  0.135  0.134
O  0.293  0.365  0.634
O  0.330  0.048  0.883
O  0.330  0.452  0.383
O  0.382  0.125  0.539
O  0.382  0.375  0.039
O  0.618  0.625  0.961
O  0.618  0.875  0.461
O  0.670  0.548  0.617
O  0.670  0.952  0.117
O  0.707  0.635  0.366
O  0.707  0.865  0.866
O  0.714  0.710  0.629
O  0.714  0.790  0.129
O  0.786  0.210  0.629
O  0.786  0.290  0.129
O  0.793  0.135  0.366
O  0.793  0.365  0.866
O  0.830  0.048  0.617
O  0.830  0.452  0.117
O  0.882  0.125  0.961
O  0.882  0.375  0.461

Output
**SG**: Pbca (61)
**ΔH_f (0 K)**: -1.634 eV per atom

(7)
DFT (GGA+U) results for a geometry-optimized LiVF4 structure.

Cell lengths 5.154, 5.154, 6.211 Å; angles 90.00, 90.00, 93.64 degrees
Positions (direct):
Li  0.125  0.875  0.750
Li  0.875  0.125  0.250
V  0.481  0.519  0.250
V  0.519  0.481  0.750
F  0.216  0.247  0.250
F  0.247  0.216  0.750
F  0.325  0.675  0.520
F  0.325  0.675  0.980
F  0.675  0.325  0.020
F  0.675  0.325  0.480
F  0.753  0.784  0.250
F  0.784  0.753  0.750

Output
**SG**: Cmcm (63)
**M_tot**: 0.000 μB per atom
**ΔH_f (0 K)**: -3.140 eV per atom
**Energy above the most stable polymorph in this dataset**: 0.078 eV/atom

(8)
DFT (GGA+U) results for a geometry-optimized LaCe2Mn3O9 structure.

Cell lengths 8.780, 8.780, 3.938 Å; angles 90.00, 90.00, 143.05 degrees
Positions (direct):
La  0.000  0.000  0.000
Ce  0.332  0.668  0.000
Ce  0.668  0.332  0.000
Mn  0.167  0.833  0.500
Mn  0.500  0.500  0.500
Mn  0.833  0.167  0.500
O  0.000  0.500  0.500
O  0.168  0.832  0.000
O  0.169  0.336  0.500
O  0.336  0.169  0.500
O  0.500  0.000  0.500
O  0.500  0.500  0.000
O  0.664  0.831  0.500
O  0.831  0.664  0.500
O  0.832  0.168  0.000

Output
**SG**: Cmmm (65)
**M_tot**: 0.933 μB per atom
**ΔH_f (0 K)**: -2.840 eV per atom

(9)
DFT (GGA+U) results for a geometry-optimized Na10Mn4O9 structure.

Cell lengths 8.876, 8.876, 8.907 Å; angles 102.19, 102.19, 78.94 degrees
Positions (direct):
Na  0.000  0.000  0.000
Na  0.041  0.299  0.314
Na  0.051  0.378  0.636
Na  0.200  0.646  0.754
Na  0.231  0.492  0.231
Na  0.238  0.770  0.481
Na  0.299  0.041  0.314
Na  0.337  0.720  0.112
Na  0.378  0.051  0.636
Na  0.385  0.385  0.936
Na  0.492  0.231  0.231
Na  0.496  0.761  0.765
Na  0.624  0.939  0.389
Na  0.640  0.640  0.054
Na  0.646  0.200  0.754
Na  0.720  0.337  0.112
Na  0.761  0.496  0.765
Na  0.770  0.238  0.481
Na  0.782  0.782  0.653
Na  0.939  0.624  0.389
Mn  0.031  0.031  0.661
Mn  0.035  0.329  0.970
Mn  0.329  0.035  0.970
Mn  0.401  0.401  0.572
Mn  0.588  0.588  0.408
Mn  0.668  0.975  0.035
Mn  0.969  0.969  0.326
Mn  0.975  0.668  0.035
O  0.116  0.116  0.493
O  0.116  0.804  0.205
O  0.125  0.504  0.904
O  0.193  0.513  0.488
O  0.198  0.198  0.116
O  0.218  0.899  0.780
O  0.491  0.491  0.194
O  0.494  0.902  0.123
O  0.500  0.800  0.516
O  0.502  0.502  0.790
O  0.504  0.125  0.904
O  0.513  0.193  0.488
O  0.777  0.777  0.907
O  0.800  0.500  0.516
O  0.804  0.116  0.205
O  0.889  0.889  0.494
O  0.899  0.218  0.780
O  0.902  0.494  0.123

Output
**SG**: Cm (8)
**M_tot**: 0.435 μB per atom
**ΔH_f (0 K)**: -1.651 eV per atom

(10)
DFT (GGA+U) results for a geometry-optimized CaCo3Si4O12 structure.

Cell lengths 5.307, 6.706, 6.710 Å; angles 85.09, 77.20, 77.29 degrees
Positions (direct):
Ca  0.000  0.000  0.000
Co  0.002  0.390  0.611
Co  0.501  0.198  0.803
Co  0.502  0.552  0.450
Si  0.001  0.915  0.498
Si  0.003  0.503  0.087
Si  0.493  0.101  0.322
Si  0.511  0.680  0.901
O  0.103  0.327  0.918
O  0.118  0.679  0.564
O  0.243  0.634  0.072
O  0.249  0.981  0.323
O  0.399  0.269  0.501
O  0.422  0.908  0.813
O  0.582  0.189  0.093
O  0.604  0.500  0.732
O  0.754  0.678  0.020
O  0.760  0.929  0.368
O  0.885  0.438  0.323
O  0.902  0.083  0.675

Output
**SG**: P1 (1)
**M_tot**: 0.450 μB per atom
**ΔH_f (0 K)**: -2.694 eV per atom

(11)
DFT (GGA+U) results for a geometry-optimized ZnNi4O8 structure.

Cell lengths 6.934, 6.934, 9.243 Å; angles 130.15, 130.15, 24.26 degrees
Positions (direct):
Zn  0.000  0.000  0.000
Ni  0.204  0.204  0.025
Ni  0.510  0.510  0.658
Ni  0.713  0.713  0.377
Ni  0.999  0.999  0.314
O  0.132  0.132  0.761
O  0.189  0.189  0.487
O  0.217  0.217  0.248
O  0.492  0.492  0.440
O  0.520  0.520  0.177
O  0.553  0.553  0.906
O  0.819  0.819  0.101
O  0.895  0.895  0.586

Output
**SG**: Cm (8)
**M_tot**: 0.154 μB per atom
**ΔH_f (0 K)**: -0.840 eV per atom
**Energy above the most stable polymorph in this dataset**: 0.115 eV/atom

(12)
DFT (GGA+U) results for a geometry-optimized KNa2FeO3 structure.

Cell lengths 6.624, 6.370, 10.323 Å; angles 90.00, 90.00, 90.00 degrees
Positions (direct):
K  0.162  0.250  0.025
K  0.338  0.750  0.525
K  0.662  0.250  0.475
K  0.838  0.750  0.975
Na  0.007  0.006  0.730
Na  0.007  0.494  0.730
Na  0.493  0.506  0.230
Na  0.493  0.994  0.230
Na  0.507  0.006  0.770
Na  0.507  0.494  0.770
Na  0.993  0.506  0.270
Na  0.993  0.994  0.270
Fe  0.170  0.250  0.492
Fe  0.330  0.750  0.992
Fe  0.670  0.250  0.008
Fe  0.830  0.750  0.508
O  0.000  0.000  0.500
O  0.000  0.500  0.500
O  0.167  0.750  0.141
O  0.206  0.750  0.829
O  0.294  0.250  0.329
O  0.333  0.250  0.641
O  0.500  0.000  0.000
O  0.500  0.500  0.000
O  0.667  0.750  0.359
O  0.706  0.750  0.671
O  0.794  0.250  0.171
O  0.833  0.250  0.859

Output
**SG**: Pnma (62)
**M_tot**: 0.714 μB per atom
**ΔH_f (0 K)**: -1.690 eV per atom

| no. | calculated density (g cm⁻³) |
| --- | --- |
| 1 | 3.94 |
| 2 | 5.84 |
| 3 | 4.11 |
| 4 | 4.98 |
| 5 | 4.44 |
| 6 | 2.72 |
| 7 | 2.70 |
| 8 | 6.62 |
| 9 | 2.98 |
| 10 | 3.81 |
| 11 | 5.18 |
| 12 | 2.88 |